Record 1
Entry from Materials Project: a relaxed structure of Li2Cr3SnO8 (GGA+U).

Lattice parameters (Å, degrees): 8.508 8.508 8.611 90.00 90.00 90.00
Fractional positions:
Li1 0.001 0.250 0.376
Li2 0.250 0.001 0.624
Li3 0.250 0.501 0.126
Li4 0.499 0.750 0.374
Li5 0.501 0.250 0.874
Li6 0.750 0.499 0.626
Li7 0.750 0.999 0.124
Li8 0.999 0.750 0.876
Cr1 0.120 0.627 0.507
Cr2 0.127 0.380 0.757
Cr3 0.134 0.134 0.000
Cr4 0.366 0.634 0.750
Cr5 0.373 0.880 0.993
Cr6 0.380 0.127 0.243
Cr7 0.620 0.873 0.743
Cr8 0.627 0.120 0.493
Cr9 0.634 0.366 0.250
Cr10 0.866 0.866 0.500
Cr11 0.873 0.620 0.257
Cr12 0.880 0.373 0.007
Sn1 0.124 0.876 0.250
Sn2 0.376 0.376 0.500
Sn3 0.624 0.624 0.000
Sn4 0.876 0.124 0.750
O1 0.099 0.866 0.495
O2 0.110 0.631 0.270
O3 0.119 0.356 0.991
O4 0.123 0.142 0.767
O5 0.131 0.390 0.520
O6 0.134 0.901 0.005
O7 0.142 0.123 0.233
O8 0.144 0.619 0.741
O9 0.356 0.119 0.009
O10 0.358 0.623 0.517
O11 0.366 0.401 0.745
O12 0.369 0.890 0.230
O13 0.377 0.642 0.983
O14 0.381 0.856 0.759
O15 0.390 0.131 0.480
O16 0.401 0.366 0.255
O17 0.599 0.634 0.755
O18 0.610 0.869 0.980
O19 0.619 0.144 0.259
O20 0.623 0.358 0.483
O21 0.631 0.110 0.730
O22 0.634 0.599 0.245
O23 0.642 0.377 0.017
O24 0.644 0.881 0.509
O25 0.856 0.381 0.241
O26 0.858 0.877 0.733
O27 0.866 0.099 0.505
O28 0.869 0.610 0.020
O29 0.877 0.858 0.267
O30 0.881 0.644 0.491
O31 0.890 0.369 0.770
O32 0.901 0.134 0.995

Energy of formation (eV/f.u.): -31.755
SG: P4_32_12 (96)
Total energy after the MP2020 corrections (eV per formula unit): -108.13



Record 2
Entry from Materials Project: a relaxed structure of Li2Cr3SnO8 (GGA+U).

Lattice parameters (Å, degrees): 6.129 6.129 6.129 58.64 58.64 58.64
Fractional positions:
Li1 0.119 0.119 0.119
Li2 0.881 0.881 0.881
Cr1 0.000 0.500 0.500
Cr2 0.500 0.000 0.500
Cr3 0.500 0.500 0.000
Sn1 0.500 0.500 0.500
O1 0.257 0.257 0.715
O2 0.257 0.715 0.257
O3 0.270 0.270 0.270
O4 0.285 0.743 0.743
O5 0.715 0.257 0.257
O6 0.730 0.730 0.730
O7 0.743 0.285 0.743
O8 0.743 0.743 0.285

Energy of formation (eV/f.u.): -31.490
SG: R-3m (166)
Total energy after the MP2020 corrections (eV per formula unit): -107.86



Record 3
Entry from Materials Project: a relaxed structure of Li2Cr3SnO8 (GGA+U).

Lattice parameters (Å, degrees): 5.954 5.954 10.704 106.11 106.11 60.59
Fractional positions:
Li1 0.057 0.558 0.681
Li2 0.442 0.943 0.819
Li3 0.558 0.057 0.181
Li4 0.943 0.442 0.319
Cr1 0.000 0.000 0.000
Cr2 0.000 0.000 0.500
Cr3 0.000 0.500 0.000
Cr4 0.500 0.000 0.500
Cr5 0.500 0.500 0.000
Cr6 0.500 0.500 0.500
Sn1 0.246 0.754 0.250
Sn2 0.754 0.246 0.750
O1 0.104 0.145 0.886
O2 0.123 0.628 0.900
O3 0.144 0.641 0.385
O4 0.145 0.104 0.386
O5 0.347 0.399 0.113
O6 0.359 0.856 0.115
O7 0.372 0.877 0.600
O8 0.399 0.347 0.613
O9 0.601 0.653 0.387
O10 0.628 0.123 0.400
O11 0.641 0.144 0.885
O12 0.653 0.601 0.887
O13 0.855 0.896 0.614
O14 0.856 0.359 0.615
O15 0.877 0.372 0.100
O16 0.896 0.855 0.114

Energy of formation (eV/f.u.): -31.639
SG: C2/c (15)
Total energy after the MP2020 corrections (eV per formula unit): -108.01